The following is a DFT calculation (GGA-PBE) of an optimized crystal structure of HoTiFe11.

Structure (extended XYZ):
```
13
Lattice="0.435 -6.136 -1.933 -6.408 0.223 0.687 4.419 2.481 -3.987" Properties=species:S:1:pos:R:3 pbc="T T T"
Fe 2.286 0.371 -4.431
Fe 0.577 -1.321 -4.787
Fe -3.208 0.102 0.333
Fe -2.322 0.044 -1.922
Fe -0.762 -1.714 -2.619
Fe 0.108 0.521 -2.995
Fe -6.178 -2.839 -0.286
Fe 1.721 -1.296 -2.099
Fe 2.208 1.226 -1.999
Fe 0.761 -3.471 -3.302
Fe -1.646 -3.966 -2.258
Ti 3.074 -2.315 -3.749
Ho 0.031 -0.023 -0.038
```

Calculated values
Formation energy in eV/atom: -0.08
Space-group type: Imm2
VASP energy in eV/atom: -8.21
Total moment in μB/f.u.: 21.127